# LuAg2 (r2SCAN, optimized geometry)
data_LuAg2
_chemical_formula_sum 'Lu1 Ag2'
_cell_length_a 5.2072
_cell_length_b 5.2072
_cell_length_c 5.2072
_cell_angle_alpha 139.11
_cell_angle_beta 139.11
_cell_angle_gamma 59.21
_symmetry_space_group_name_H-M 'P 1'
_symmetry_Int_Tables_number 1
loop_
_symmetry_equiv_pos_as_xyz
'x,y,z'
loop_
_atom_site_label
_atom_site_type_symbol
_atom_site_fract_x
_atom_site_fract_y
_atom_site_fract_z
Lu1 Lu 0.0000 0.0000 0.0000
Ag1 Ag 0.3316 0.3316 0.0000
Ag2 Ag 0.6684 0.6684 0.0000
# Calculated total energy (eV/cell): -81.85
# Magnetic moment (Bohr magnetons per cell): 0.00
# Calculated formation energy (eV/f.u.): -1.06

=====

# Nd4Re6O19 (r2SCAN, optimized geometry)
data_Nd4Re6O19
_chemical_formula_sum 'Nd4 Re6 O19'
_cell_length_a 7.7876
_cell_length_b 7.7876
_cell_length_c 7.7876
_cell_angle_alpha 109.47
_cell_angle_beta 109.47
_cell_angle_gamma 109.47
_symmetry_space_group_name_H-M 'P 1'
_symmetry_Int_Tables_number 1
loop_
_symmetry_equiv_pos_as_xyz
'x,y,z'
loop_
_atom_site_label
_atom_site_type_symbol
_atom_site_fract_x
_atom_site_fract_y
_atom_site_fract_z
Nd1 Nd 0.0000 0.0000 0.6877
Nd2 Nd 0.0000 0.6877 0.0000
Nd3 Nd 0.3123 0.3123 0.3123
Nd4 Nd 0.6877 0.0000 0.0000
Re1 Re 0.1328 0.6328 0.5000
Re2 Re 0.3672 0.5000 0.8672
Re3 Re 0.5000 0.1328 0.6328
Re4 Re 0.5000 0.8672 0.3672
Re5 Re 0.6328 0.5000 0.1328
Re6 Re 0.8672 0.3672 0.5000
O1 O 0.0000 0.0000 0.0000
O2 O 0.0000 0.3190 0.3190
O3 O 0.0000 0.6810 0.6810
O4 O 0.0564 0.3584 0.7374
O5 O 0.2626 0.6211 0.3190
O6 O 0.3021 0.9436 0.6810
O7 O 0.3190 0.0000 0.3190
O8 O 0.3190 0.2626 0.6211
O9 O 0.3190 0.3190 0.0000
O10 O 0.3584 0.7374 0.0564
O11 O 0.3789 0.6415 0.6979
O12 O 0.6211 0.3190 0.2626
O13 O 0.6415 0.6979 0.3789
O14 O 0.6810 0.0000 0.6810
O15 O 0.6810 0.3021 0.9436
O16 O 0.6810 0.6810 0.0000
O17 O 0.6979 0.3789 0.6415
O18 O 0.7374 0.0564 0.3584
O19 O 0.9436 0.6810 0.3021
# Calculated total energy (eV/cell): -614.44
# Magnetic moment (Bohr magnetons per cell): 0.00
# Calculated formation energy (eV/f.u.): -68.83

=====

# Yb3Ti (r2SCAN, optimized geometry)
data_Yb3Ti
_chemical_formula_sum 'Yb3 Ti1'
_cell_length_a 5.7590
_cell_length_b 5.7590
_cell_length_c 5.7590
_cell_angle_alpha 130.84
_cell_angle_beta 130.84
_cell_angle_gamma 72.06
_symmetry_space_group_name_H-M 'P 1'
_symmetry_Int_Tables_number 1
loop_
_symmetry_equiv_pos_as_xyz
'x,y,z'
loop_
_atom_site_label
_atom_site_type_symbol
_atom_site_fract_x
_atom_site_fract_y
_atom_site_fract_z
Yb1 Yb 0.0000 0.0000 0.0000
Yb2 Yb 0.2500 0.7500 0.5000
Yb3 Yb 0.7500 0.2500 0.5000
Ti1 Ti 0.5000 0.5000 0.0000
# Calculated total energy (eV/cell): -121.93
# Magnetic moment (Bohr magnetons per cell): 2.13
# Calculated formation energy (eV/f.u.): 0.60

=====

# LuInRh2 (r2SCAN, optimized geometry)
data_LuInRh2
_chemical_formula_sum 'Lu1 In1 Rh2'
_cell_length_a 4.6032
_cell_length_b 4.6032
_cell_length_c 4.6032
_cell_angle_alpha 60.00
_cell_angle_beta 60.00
_cell_angle_gamma 60.00
_symmetry_space_group_name_H-M 'P 1'
_symmetry_Int_Tables_number 1
loop_
_symmetry_equiv_pos_as_xyz
'x,y,z'
loop_
_atom_site_label
_atom_site_type_symbol
_atom_site_fract_x
_atom_site_fract_y
_atom_site_fract_z
Lu1 Lu 0.0000 0.0000 0.0000
In1 In 0.5000 0.5000 0.5000
Rh1 Rh 0.2500 0.2500 0.2500
Rh2 Rh 0.7500 0.7500 0.7500
# Calculated total energy (eV/cell): -112.61
# Magnetic moment (Bohr magnetons per cell): 0.00
# Calculated formation energy (eV/f.u.): -3.68

=====

# KAlCl4 (r2SCAN, optimized geometry)
data_KAlCl4
_chemical_formula_sum 'K4 Al4 Cl16'
_cell_length_a 7.2581
_cell_length_b 10.2259
_cell_length_c 9.3789
_cell_angle_alpha 90.00
_cell_angle_beta 92.55
_cell_angle_gamma 90.00
_symmetry_space_group_name_H-M 'P 1'
_symmetry_Int_Tables_number 1
loop_
_symmetry_equiv_pos_as_xyz
'x,y,z'
loop_
_atom_site_label
_atom_site_type_symbol
_atom_site_fract_x
_atom_site_fract_y
_atom_site_fract_z
K1 K 0.0695 0.0000 0.0408
K2 K 0.4315 0.4064 0.4593
K3 K 0.5685 0.9064 0.5407
K4 K 0.9305 0.5000 0.9592
Al1 Al 0.0033 0.6596 0.4328
Al2 Al 0.4967 0.7468 0.0675
Al3 Al 0.5033 0.2468 0.9325
Al4 Al 0.9967 0.1596 0.5672
Cl1 Cl 0.0414 0.4922 0.2994
Cl2 Cl 0.0639 0.3323 0.6875
Cl3 Cl 0.2171 0.1263 0.4264
Cl4 Cl 0.2407 0.7225 0.9462
Cl5 Cl 0.2596 0.6836 0.5543
Cl6 Cl 0.2827 0.2799 0.0735
Cl7 Cl 0.4355 0.0743 0.8120
Cl8 Cl 0.4587 0.9145 0.2007
Cl9 Cl 0.5413 0.4145 0.7993
Cl10 Cl 0.5645 0.5743 0.1880
Cl11 Cl 0.7173 0.7799 0.9265
Cl12 Cl 0.7404 0.1836 0.4457
Cl13 Cl 0.7593 0.2225 0.0538
Cl14 Cl 0.7829 0.6263 0.5736
Cl15 Cl 0.9361 0.8323 0.3125
Cl16 Cl 0.9586 0.9922 0.7006
# Calculated total energy (eV/cell): -196.36
# Magnetic moment (Bohr magnetons per cell): 0.00
# Calculated formation energy (eV/f.u.): -11.73

=====

# Sm2Ni7 (r2SCAN, optimized geometry)
data_Sm2Ni7
_chemical_formula_sum 'Sm8 Ni28'
_cell_length_a 4.9289
_cell_length_b 4.9289
_cell_length_c 24.1311
_cell_angle_alpha 90.00
_cell_angle_beta 90.00
_cell_angle_gamma 120.00
_symmetry_space_group_name_H-M 'P 1'
_symmetry_Int_Tables_number 1
loop_
_symmetry_equiv_pos_as_xyz
'x,y,z'
loop_
_atom_site_label
_atom_site_type_symbol
_atom_site_fract_x
_atom_site_fract_y
_atom_site_fract_z
Sm1 Sm 0.3333 0.6667 0.0297
Sm2 Sm 0.3333 0.6667 0.1741
Sm3 Sm 0.3333 0.6667 0.3259
Sm4 Sm 0.3333 0.6667 0.4703
Sm5 Sm 0.6667 0.3333 0.5297
Sm6 Sm 0.6667 0.3333 0.6741
Sm7 Sm 0.6667 0.3333 0.8259
Sm8 Sm 0.6667 0.3333 0.9703
Ni1 Ni 0.0000 0.0000 0.0000
Ni2 Ni 0.0000 0.0000 0.1685
Ni3 Ni 0.0000 0.0000 0.3315
Ni4 Ni 0.0000 0.0000 0.5000
Ni5 Ni 0.0000 0.0000 0.6685
Ni6 Ni 0.0000 0.0000 0.8315
Ni7 Ni 0.1664 0.3329 0.5869
Ni8 Ni 0.1664 0.3329 0.9131
Ni9 Ni 0.1664 0.8336 0.5869
Ni10 Ni 0.1664 0.8336 0.9131
Ni11 Ni 0.1670 0.3340 0.7500
Ni12 Ni 0.1670 0.8330 0.7500
Ni13 Ni 0.3329 0.1664 0.0869
Ni14 Ni 0.3329 0.1664 0.4131
Ni15 Ni 0.3333 0.6667 0.6678
Ni16 Ni 0.3333 0.6667 0.8322
Ni17 Ni 0.3340 0.1670 0.2500
Ni18 Ni 0.6660 0.8330 0.7500
Ni19 Ni 0.6667 0.3333 0.1678
Ni20 Ni 0.6667 0.3333 0.3322
Ni21 Ni 0.6671 0.8336 0.5869
Ni22 Ni 0.6671 0.8336 0.9131
Ni23 Ni 0.8330 0.1670 0.2500
Ni24 Ni 0.8330 0.6660 0.2500
Ni25 Ni 0.8336 0.1664 0.0869
Ni26 Ni 0.8336 0.1664 0.4131
Ni27 Ni 0.8336 0.6671 0.0869
Ni28 Ni 0.8336 0.6671 0.4131
# Calculated total energy (eV/cell): -584.25
# Magnetic moment (Bohr magnetons per cell): 6.97
# Calculated formation energy (eV/f.u.): -2.72